A plane-wave DFT calculation with PBE was carried out for a geometry-optimized NdSmTl2 structure.

Cell and atoms, written as CIF:
```
data_NdSmTl2
_chemical_formula_sum 'Nd4 Sm4 Tl8'
_space_group_name_H-M_alt 'F m -3 m'
_space_group_IT_number 225
_space_group_name_Hall '-F 4 2 3'
_cell_length_a 7.784
_cell_length_b 7.784
_cell_length_c 7.784
_cell_angle_alpha 90.00
_cell_angle_beta 90.00
_cell_angle_gamma 90.00
loop_
_atom_site_label
_atom_site_type_symbol
_atom_site_fract_x
_atom_site_fract_y
_atom_site_fract_z
Nd1 Nd 0.000 0.000 0.000
Sm1 Sm 0.000 0.000 0.500
Tl1 Tl 0.250 0.250 0.250
```

***

# HfAg2S3 | the Materials Project database | PBE | relaxed
data_HfAg2S3
_chemical_formula_sum 'Hf8 Ag16 S24'
_space_group_name_H-M_alt 'C m c e'
_space_group_IT_number 64
_space_group_name_Hall '-C 2ac 2'
_cell_length_a 11.581
_cell_length_b 6.704
_cell_length_c 12.773
_cell_angle_alpha 90.00
_cell_angle_beta 90.00
_cell_angle_gamma 90.00
loop_
_atom_site_label
_atom_site_type_symbol
_atom_site_fract_x
_atom_site_fract_y
_atom_site_fract_z
Hf1 Hf 0.162 0.000 0.000
Ag1 Ag 0.000 0.025 0.320
Ag2 Ag 0.250 0.102 0.250
S1 S 0.000 0.111 0.876
S2 S 0.174 0.172 0.603
# - energy with MP2020 corrections (eV/atom) = -5.708
# - total moment (μB per cell) = 0.02

***

# Na42Nb16Zn8Si33S3O144 | the Materials Project database | PBE | relaxed
data_Na42Nb16Zn8Si33S3O144
_chemical_formula_sum 'Na42 Nb16 Zn8 Si33 S3 O144'
_space_group_name_H-M_alt 'P 1'
_space_group_IT_number 1
_space_group_name_Hall 'P 1'
_cell_length_a 9.140
_cell_length_b 15.804
_cell_length_c 22.482
_cell_angle_alpha 89.87
_cell_angle_beta 89.96
_cell_angle_gamma 89.95
loop_
_atom_site_label
_atom_site_type_symbol
_atom_site_fract_x
_atom_site_fract_y
_atom_site_fract_z
Na1 Na 0.000 0.000 0.000
Na2 Na 0.000 0.661 0.337
Na3 Na 0.096 0.161 0.836
Na4 Na 0.096 0.500 0.500
Na5 Na 0.114 0.836 0.161
Na6 Na 0.130 0.864 0.502
Na7 Na 0.172 0.175 0.503
Na8 Na 0.174 0.839 0.836
Na9 Na 0.289 0.344 0.084
Na10 Na 0.292 0.675 0.254
Na11 Na 0.292 0.676 0.755
Na12 Na 0.295 0.013 0.918
Na13 Na 0.297 0.347 0.579
Na14 Na 0.307 0.012 0.419
Na15 Na 0.417 0.838 0.336
Na16 Na 0.426 0.173 0.006
Na17 Na 0.437 0.514 0.661
Na18 Na 0.465 0.865 0.001
Na19 Na 0.469 0.191 0.661
Na20 Na 0.471 0.538 0.338
Na21 Na 0.478 0.833 0.662
Na22 Na 0.495 0.163 0.336
Na23 Na 0.501 0.499 0.000
Na24 Na 0.593 0.000 0.500
Na25 Na 0.596 0.663 0.835
Na26 Na 0.611 0.334 0.162
Na27 Na 0.623 0.692 0.162
Na28 Na 0.626 0.370 0.500
Na29 Na 0.664 0.668 0.503
Na30 Na 0.674 0.339 0.836
Na31 Na 0.794 0.512 0.919
Na32 Na 0.794 0.850 0.081
Na33 Na 0.795 0.170 0.756
Na34 Na 0.796 0.513 0.423
Na35 Na 0.799 0.176 0.252
Na36 Na 0.799 0.849 0.583
Na37 Na 0.922 0.338 0.337
Na38 Na 0.925 0.674 0.004
Na39 Na 0.965 0.364 0.001
Na40 Na 0.974 0.037 0.332
Na41 Na 0.975 0.694 0.661
Na42 Na 0.980 0.336 0.661
Nb1 Nb 0.291 0.345 0.226
Nb2 Nb 0.296 0.015 0.265
Nb3 Nb 0.297 0.346 0.728
Nb4 Nb 0.297 0.347 0.435
Nb5 Nb 0.297 0.681 0.598
Nb6 Nb 0.299 0.013 0.767
Nb7 Nb 0.299 0.685 0.103
Nb8 Nb 0.300 0.341 0.932
Nb9 Nb 0.793 0.840 0.432
Nb10 Nb 0.794 0.185 0.603
Nb11 Nb 0.797 0.513 0.266
Nb12 Nb 0.797 0.849 0.226
Nb13 Nb 0.799 0.513 0.768
Nb14 Nb 0.799 0.842 0.931
Nb15 Nb 0.801 0.850 0.728
Nb16 Nb 0.803 0.186 0.104
Zn1 Zn 0.286 0.014 0.068
Zn2 Zn 0.296 0.680 0.398
Zn3 Zn 0.302 0.683 0.892
Zn4 Zn 0.307 0.012 0.569
Zn5 Zn 0.786 0.512 0.068
Zn6 Zn 0.787 0.186 0.393
Zn7 Zn 0.797 0.513 0.564
Zn8 Zn 0.802 0.182 0.893
Si1 Si 0.003 0.015 0.161
Si2 Si 0.004 0.679 0.494
Si3 Si 0.005 0.349 0.831
Si4 Si 0.088 0.513 0.661
Si5 Si 0.089 0.178 0.994
Si6 Si 0.089 0.847 0.330
Si7 Si 0.149 0.156 0.662
Si8 Si 0.150 0.491 0.329
Si9 Si 0.150 0.870 0.660
Si10 Si 0.152 0.199 0.331
Si11 Si 0.152 0.827 0.993
Si12 Si 0.440 0.494 0.830
Si13 Si 0.441 0.828 0.493
Si14 Si 0.443 0.158 0.160
Si15 Si 0.444 0.534 0.493
Si16 Si 0.446 0.872 0.160
Si17 Si 0.447 0.196 0.829
Si18 Si 0.501 0.512 0.162
Si19 Si 0.504 0.177 0.494
Si20 Si 0.507 0.849 0.829
Si21 Si 0.586 0.347 0.329
Si22 Si 0.590 0.678 0.994
Si23 Si 0.591 0.012 0.662
Si24 Si 0.649 0.370 0.662
Si25 Si 0.649 0.992 0.331
Si26 Si 0.650 0.698 0.327
Si27 Si 0.652 0.659 0.662
Si28 Si 0.653 0.326 0.994
Si29 Si 0.941 0.994 0.831
Si30 Si 0.942 0.325 0.493
Si31 Si 0.944 0.657 0.161
Si32 Si 0.946 0.372 0.160
Si33 Si 0.946 0.698 0.829
S1 S 0.156 0.536 0.995
S2 S 0.656 0.035 0.996
S3 S 0.939 0.034 0.496
O1 O 0.093 0.987 0.104
O2 O 0.097 0.022 0.502
O3 O 0.100 0.666 0.435
O4 O 0.111 0.027 0.221
O5 O 0.114 0.697 0.553
O6 O 0.115 0.361 0.889
O7 O 0.117 0.339 0.773
O8 O 0.119 0.694 0.833
O9 O 0.120 0.354 0.172
O10 O 0.123 0.995 0.824
O11 O 0.124 0.671 0.157
O12 O 0.126 0.328 0.493
O13 O 0.171 0.922 0.600
O14 O 0.179 0.429 0.389
O15 O 0.182 0.585 0.943
O16 O 0.182 0.763 0.054
O17 O 0.184 0.098 0.721
O18 O 0.185 0.270 0.992
O19 O 0.185 0.936 0.325
O20 O 0.189 0.764 0.330
O21 O 0.190 0.599 0.658
O22 O 0.191 0.262 0.275
O23 O 0.200 0.431 0.672
O24 O 0.202 0.100 0.001
O25 O 0.217 0.254 0.672
O26 O 0.218 0.782 0.936
O27 O 0.222 0.576 0.050
O28 O 0.222 0.583 0.330
O29 O 0.222 0.921 0.000
O30 O 0.223 0.438 0.274
O31 O 0.229 0.774 0.658
O32 O 0.229 0.915 0.719
O33 O 0.230 0.123 0.603
O34 O 0.230 0.449 0.994
O35 O 0.232 0.245 0.390
O36 O 0.236 0.107 0.325
O37 O 0.353 0.108 0.825
O38 O 0.356 0.441 0.492
O39 O 0.364 0.246 0.887
O40 O 0.364 0.582 0.554
O41 O 0.365 0.914 0.220
O42 O 0.366 0.775 0.158
O43 O 0.372 0.922 0.500
O44 O 0.374 0.121 0.101
O45 O 0.375 0.586 0.832
O46 O 0.375 0.786 0.435
O47 O 0.377 0.441 0.772
O48 O 0.379 0.255 0.172
O49 O 0.392 0.099 0.501
O50 O 0.399 0.429 0.173
O51 O 0.401 0.259 0.772
O52 O 0.403 0.934 0.824
O53 O 0.404 0.600 0.156
O54 O 0.407 0.097 0.220
O55 O 0.407 0.766 0.830
O56 O 0.409 0.429 0.888
O57 O 0.411 0.268 0.492
O58 O 0.413 0.764 0.553
O59 O 0.418 0.590 0.435
O60 O 0.421 0.921 0.100
O61 O 0.466 0.333 0.991
O62 O 0.470 0.667 0.658
O63 O 0.470 0.996 0.324
O64 O 0.473 0.352 0.672
O65 O 0.476 0.030 0.718
O66 O 0.476 0.691 0.329
O67 O 0.476 0.693 0.054
O68 O 0.477 0.336 0.272
O69 O 0.479 0.363 0.388
O70 O 0.490 0.662 0.936
O71 O 0.497 0.021 0.001
O72 O 0.504 0.989 0.603
O73 O 0.592 0.490 0.103
O74 O 0.603 0.159 0.436
O75 O 0.613 0.530 0.220
O76 O 0.615 0.861 0.889
O77 O 0.617 0.519 0.501
O78 O 0.618 0.192 0.553
O79 O 0.618 0.838 0.773
O80 O 0.619 0.194 0.833
O81 O 0.620 0.849 0.171
O82 O 0.622 0.494 0.824
O83 O 0.624 0.171 0.157
O84 O 0.627 0.834 0.492
O85 O 0.664 0.425 0.604
O86 O 0.681 0.263 0.054
O87 O 0.681 0.596 0.721
O88 O 0.681 0.929 0.390
O89 O 0.682 0.085 0.943
O90 O 0.685 0.435 0.323
O91 O 0.685 0.771 0.992
O92 O 0.689 0.265 0.329
O93 O 0.690 0.100 0.656
O94 O 0.694 0.760 0.272
O95 O 0.695 0.929 0.673
O96 O 0.703 0.600 0.001
O97 O 0.718 0.755 0.672
O98 O 0.719 0.282 0.936
O99 O 0.722 0.075 0.050
O100 O 0.722 0.420 0.999
O101 O 0.722 0.939 0.275
O102 O 0.727 0.083 0.332
O103 O 0.727 0.274 0.658
O104 O 0.729 0.412 0.721
O105 O 0.729 0.746 0.387
O106 O 0.729 0.948 0.993
O107 O 0.731 0.624 0.604
O108 O 0.737 0.607 0.325
O109 O 0.853 0.609 0.824
O110 O 0.862 0.277 0.158
O111 O 0.863 0.623 0.103
O112 O 0.863 0.746 0.888
O113 O 0.864 0.415 0.219
O114 O 0.865 0.948 0.494
O115 O 0.871 0.076 0.549
O116 O 0.874 0.282 0.436
O117 O 0.875 0.086 0.833
O118 O 0.875 0.939 0.775
O119 O 0.876 0.419 0.500
O120 O 0.876 0.754 0.172
O121 O 0.895 0.601 0.501
O122 O 0.898 0.098 0.156
O123 O 0.899 0.930 0.174
O124 O 0.903 0.434 0.825
O125 O 0.903 0.759 0.772
O126 O 0.907 0.772 0.492
O127 O 0.908 0.265 0.829
O128 O 0.909 0.262 0.554
O129 O 0.909 0.598 0.221
O130 O 0.911 0.929 0.889
O131 O 0.912 0.082 0.441
O132 O 0.921 0.422 0.100
O133 O 0.966 0.833 0.992
O134 O 0.969 0.495 0.323
O135 O 0.970 0.170 0.656
O136 O 0.972 0.194 0.052
O137 O 0.974 0.850 0.671
O138 O 0.975 0.528 0.719
O139 O 0.977 0.838 0.273
O140 O 0.977 0.863 0.388
O141 O 0.978 0.187 0.334
O142 O 0.992 0.162 0.936
O143 O 0.996 0.489 0.603
O144 O 0.996 0.522 0.002
# - energy with MP2020 corrections (eV/atom) = -7.334
# - total moment (μB per cell) = 0.00

***

# K3NdSi6O15 | the Materials Project database | PBE | relaxed
data_K3NdSi6O15
_chemical_formula_sum 'K12 Nd4 Si24 O60'
_space_group_name_H-M_alt 'P b a m'
_space_group_IT_number 55
_space_group_name_Hall '-P 2 2ab'
_cell_length_a 15.126
_cell_length_b 16.075
_cell_length_c 7.346
_cell_angle_alpha 90.00
_cell_angle_beta 90.00
_cell_angle_gamma 90.00
loop_
_atom_site_label
_atom_site_type_symbol
_atom_site_fract_x
_atom_site_fract_y
_atom_site_fract_z
K1 K 0.089 0.063 0.000
K2 K 0.119 0.297 0.500
K3 K 0.119 0.648 0.000
Nd1 Nd 0.000 0.000 0.500
Nd2 Nd 0.000 0.500 0.500
Si1 Si 0.128 0.711 0.500
Si2 Si 0.135 0.855 0.212
Si3 Si 0.200 0.463 0.218
Si4 Si 0.219 0.092 0.500
O1 O 0.062 0.634 0.500
O2 O 0.067 0.930 0.248
O3 O 0.101 0.446 0.281
O4 O 0.111 0.768 0.318
O5 O 0.114 0.103 0.500
O6 O 0.133 0.822 0.000
O7 O 0.212 0.487 0.000
O8 O 0.234 0.686 0.500
O9 O 0.238 0.880 0.262
O10 O 0.246 0.545 0.314
# - energy with MP2020 corrections (eV/atom) = -7.758
# - total moment (μB per cell) = 0.15

***

no.,total energy (eV/atom),DFT formation energy (eV per atom)
1,-3.9402,-0.387
2,-5.4568,-1.036
3,-6.9319,-2.736
4,-7.3461,-3.163